Compound: Mg4Si3
Source: Materials Project
Functional: PBE-GGA
Structure: optimized geometry

Cell lengths 5.679, 6.328, 8.486 Å; angles 105.76, 105.66, 100.28 degrees
Element x y z (fractional)
Mg: 0.000 0.000 0.000
Mg: 0.013 0.664 0.536
Mg: 0.395 0.355 0.371
Mg: 0.457 0.012 0.905
Mg: 0.485 0.836 0.273
Mg: 0.538 0.504 0.789
Mg: 0.907 0.504 0.113
Mg: 0.932 0.184 0.631
Si: 0.032 0.933 0.317
Si: 0.103 0.603 0.867
Si: 0.352 0.411 0.043
Si: 0.379 0.074 0.582
Si: 0.618 0.807 0.631
Si: 0.805 0.211 0.274

Calculated values
Theoretical density   2.2 g/cm3
Energy of formation   0.01 eV per atom
Space group   P1 (1)
Uncorrected energy   -3.265 eV/atom
Excess energy over the best structure of this formula in the dataset   0.01 eV per formula unit